#a
Li7V3P8O29: relaxed, PBE+U.

Geometry as POSCAR:
```
Li7V3P8O29
1.0
9.831 0.000 0.000
4.904 8.538 0.000
0.100 0.002 13.903
Li V P O
14 6 16 58
Cartesian
0.000 0.000 0.000
2.163 3.592 13.237
2.882 4.765 6.234
4.242 5.546 11.471
2.205 2.013 4.567
5.568 5.469 4.612
4.549 2.366 12.199
4.225 0.039 6.316
6.966 4.693 13.198
7.532 3.538 6.246
10.523 8.440 13.190
6.851 0.878 4.572
9.758 5.710 10.731
7.664 1.908 11.492
7.649 7.648 8.924
6.998 6.494 1.889
11.867 7.623 1.943
9.151 2.768 8.879
12.601 6.493 8.874
10.431 2.789 1.935
2.871 4.781 3.202
2.252 3.559 10.214
2.201 2.060 7.628
4.167 5.492 0.611
5.608 5.516 7.602
2.927 0.889 0.648
4.132 0.036 3.247
6.902 4.700 10.168
5.563 0.080 10.170
7.570 3.545 3.200
7.517 1.988 0.645
6.930 0.793 7.608
9.734 5.640 0.173
9.820 5.633 7.191
14.667 8.464 10.595
14.695 8.456 3.613
0.725 1.186 3.134
4.881 8.252 5.085
2.433 2.871 6.378
1.986 2.098 0.612
3.689 5.000 4.442
4.064 5.588 7.616
3.769 4.739 13.302
2.739 2.851 11.452
2.833 2.817 8.903
3.861 4.616 1.930
6.253 8.496 10.056
5.588 7.207 2.891
6.241 6.863 7.840
6.977 8.126 0.713
2.841 0.685 7.590
5.700 5.629 0.565
3.729 1.031 2.047
3.653 0.656 4.528
6.013 4.662 11.400
5.968 4.557 8.878
6.097 4.805 6.359
4.034 0.949 13.437
6.854 4.915 3.174
8.967 8.469 10.162
8.423 7.196 2.953
7.804 5.928 10.056
8.251 5.577 0.760
9.117 6.919 7.695
5.960 0.978 8.887
6.922 2.721 1.941
6.036 0.840 11.410
7.159 2.733 13.311
7.251 2.775 4.457
6.081 0.695 6.367
10.590 8.486 3.207
7.798 3.419 10.150
9.721 5.702 12.575
10.410 6.949 0.700
9.045 4.374 7.775
6.859 0.568 0.666
7.783 2.093 7.599
9.978 5.532 5.709
9.055 3.702 2.927
11.144 7.226 10.033
9.035 1.817 0.763
10.515 4.391 0.640
12.714 8.101 7.838
11.291 5.615 7.851
8.953 1.173 10.096
13.210 8.516 3.052
11.822 6.027 2.865
10.546 3.675 10.059
10.504 1.951 7.948
13.365 6.892 0.798
14.526 8.369 12.100
12.708 4.968 10.173
13.956 7.147 10.022
11.859 3.517 3.236
```

## Properties
Space-group type: P1 (1)
M_tot: 4.0 μB/f.u.

#b
Li7V3P8O29: relaxed, PBE+U.

Geometry as POSCAR:
```
Li7V3P8O29
1.0
8.545 -4.938 0.000
8.545 4.938 0.000
-0.098 0.000 13.945
Li V P O
14 6 16 58
Cartesian
8.496 4.891 6.973
3.746 2.049 0.709
2.903 0.712 9.444
6.486 2.740 2.483
7.700 2.129 9.457
2.951 -0.712 2.471
5.971 0.342 8.535
6.020 -0.342 1.562
3.697 -2.049 7.682
11.291 0.138 3.158
6.437 -2.740 9.456
7.749 -2.129 2.485
11.242 -0.138 10.131
8.545 -4.891 0.000
10.470 2.784 5.049
9.331 2.120 12.138
9.380 -2.120 5.166
14.159 0.662 12.042
10.421 -2.784 12.022
14.208 -0.662 5.069
8.473 4.893 10.331
3.702 2.017 3.814
4.905 2.639 10.780
6.373 2.709 13.386
2.961 0.672 6.414
7.597 2.031 6.404
2.912 -0.672 13.386
3.653 -2.017 10.787
8.299 0.639 3.831
8.250 -0.639 10.803
4.954 -2.639 3.808
6.422 -2.709 6.414
7.548 -2.031 13.376
11.340 0.011 13.766
11.389 -0.011 6.793
8.522 -4.893 3.358
7.266 4.213 3.894
1.218 0.691 10.784
8.387 4.768 8.832
6.359 2.945 6.174
2.782 0.856 13.299
5.721 2.338 0.703
3.687 1.140 2.582
3.668 1.085 7.667
5.502 2.102 12.184
3.850 1.098 5.122
5.773 2.107 9.682
1.267 -0.691 3.811
8.495 3.439 10.954
8.837 2.931 6.248
10.037 3.641 13.198
7.770 2.095 13.322
2.830 -0.856 6.327
7.488 1.284 7.699
7.378 1.052 2.717
3.717 -1.085 0.694
3.638 -1.140 9.554
3.801 -1.098 12.094
7.554 0.947 5.232
8.458 0.890 10.812
12.065 2.841 3.751
9.695 1.303 3.892
10.945 2.031 10.932
10.097 0.791 13.138
11.333 1.461 6.314
7.329 -1.052 9.689
5.551 -2.102 5.212
7.506 -0.947 12.205
5.822 -2.107 2.710
7.537 -1.284 0.726
5.672 -2.338 7.675
8.506 -0.890 3.839
13.455 2.006 10.760
11.434 0.115 1.309
7.818 -2.095 6.349
12.568 0.679 13.086
6.310 -2.945 13.147
10.146 -0.791 6.165
11.386 -0.115 8.282
9.646 -1.303 10.865
13.416 0.747 3.935
12.617 -0.679 6.114
11.285 -1.461 13.287
8.788 -2.931 13.220
15.105 0.698 6.203
8.543 -3.439 3.981
10.993 -2.031 3.959
7.217 -4.213 10.866
13.367 -0.747 10.908
15.057 -0.698 13.175
10.085 -3.641 6.226
8.436 -4.768 1.859
12.016 -2.841 10.724
13.504 -2.006 3.788
```

## Properties
Space-group type: Cc (9)
M_tot: 4.0 μB/f.u.

Sorted by energy, starting with the most stable: #a, #b.